(1)
The following is a DFT calculation (GGA-PBE) of a relaxed Na2Si2O5 crystal.

Its theoretical density is 2.19 Mg/m³. The calculation puts the MP2020-corrected energy at -7.09 eV/atom. Its energy above the lowest structure with this stoichiometry is 0.062 eV/atom.

It has space group I4_1/a (No. 88, origin choice 2), with a = 12.396 Å, b = 12.396 Å, c = 7.177 Å, α = 90.00°, β = 90.00° and γ = 90.00°. The asymmetric unit holds Na at (0.080, 0.382, 0.462), Si at (0.118, 0.458, 0.931), O at (0.000, 0.000, 0.000), O at (0.114, 0.132, 0.472) and O at (0.176, 0.427, 0.131).

(2)
The following is a DFT calculation (GGA-PBE) of a relaxed Na2Si2O5 crystal.

Its theoretical density is 2.39 Mg/m³. The calculation puts the MP2020-corrected energy at -7.15 eV/atom. Its energy above the lowest structure with this stoichiometry is 0.001 eV/atom.

It has space group P2_1/c (No. 14), with a = 4.894 Å, b = 12.189 Å, c = 9.751 Å, α = 90.00°, β = 119.56° and γ = 90.00°. The asymmetric unit holds Na at (0.112, 0.003, 0.370), Na at (0.386, 0.538, 0.619), Si at (0.143, 0.197, 0.950), Si at (0.480, 0.679, 0.176), O at (0.139, 0.075, 0.887), O at (0.208, 0.728, 0.574), O at (0.229, 0.203, 0.362), O at (0.374, 0.553, 0.135) and O at (0.393, 0.209, 0.138).

(3)
The following is a DFT calculation (GGA-PBE) of a relaxed Na2Si3O7 crystal.

Its theoretical density is 2.39 Mg/m³. The calculation puts the MP2020-corrected energy at -7.44 eV/atom. Its energy above the lowest structure with this stoichiometry is 0.000 eV/atom.

It has space group P2_1/c (No. 14), with a = 7.295 Å, b = 10.734 Å, c = 9.939 Å, α = 90.00°, β = 120.28° and γ = 90.00°. The asymmetric unit holds Na at (0.211, 0.196, 0.122), Na at (0.251, 0.560, 0.070), Si at (0.165, 0.068, 0.816), Si at (0.278, 0.606, 0.727), Si at (0.379, 0.683, 0.476), O at (0.014, 0.602, 0.634), O at (0.102, 0.105, 0.643), O at (0.217, 0.583, 0.347), O at (0.327, 0.704, 0.617), O at (0.350, 0.682, 0.892), O at (0.373, 0.144, 0.954) and O at (0.390, 0.025, 0.257).

Which value of MP2020-corrected energy does entry 2 give?
-7.15 eV/atom

Look up the theoretical density of the first one.
2.19 Mg/m³

energy above the lowest structure with this stoichiometry of number 1 (Na2Si2O5)?
0.062 eV/atom